## LiCoSnO4 (PBE+U)

Data for LiCoSnO4 after structural relaxation.

Unit cell a=5.9882 b=5.9882 c=5.9882 alpha=120.41 beta=116.10 gamma=93.09
Fractional positions:
Li 0.0000 0.0000 0.0000
Li 0.5000 0.0000 0.5000
Co 0.5000 0.0000 0.0000
Co 0.5000 0.5000 0.5000
Sn 0.0000 0.5000 0.5000
Sn 0.5000 0.5000 0.0000
O 0.2642 0.2737 0.5095
O 0.2642 0.7547 0.9905
O 0.2987 0.7487 0.5499
O 0.3012 0.2513 0.0499
O 0.6988 0.7487 0.9501
O 0.7013 0.2513 0.4501
O 0.7358 0.2453 0.0095
O 0.7358 0.7263 0.4905

Calculated values
SG: Imma, No. 74

***

## Li4Ti2Fe3O10 (PBE+U)

Data for Li4Ti2Fe3O10 after structural relaxation.

Unit cell a=6.6805 b=7.9349 c=7.9578 alpha=95.87 beta=114.25 gamma=90.31
Fractional positions:
Li 0.0870 0.0853 0.4034
Li 0.2411 0.7545 0.4906
Li 0.3103 0.2962 0.2089
Li 0.4039 0.4054 0.5955
Li 0.5961 0.5946 0.4045
Li 0.6897 0.7038 0.7911
Li 0.7589 0.2455 0.5094
Li 0.9130 0.9147 0.5966
Ti 0.0426 0.5422 0.6913
Ti 0.4766 0.9394 0.3122
Ti 0.5234 0.0606 0.6878
Ti 0.9574 0.4578 0.3087
Fe 0.0000 0.0000 0.0000
Fe 0.1404 0.6564 0.1068
Fe 0.3474 0.8543 0.8919
Fe 0.5000 0.5000 0.0000
Fe 0.6526 0.1457 0.1081
Fe 0.8596 0.3436 0.8932
O 0.0387 0.7657 0.8511
O 0.0653 0.3494 0.5328
O 0.1509 0.8825 0.2418
O 0.1580 0.4429 0.9398
O 0.2472 0.9651 0.6581
O 0.2478 0.5263 0.3341
O 0.3503 0.0624 0.0715
O 0.3611 0.6225 0.7608
O 0.4300 0.1565 0.4621
O 0.4526 0.7324 0.1481
O 0.5474 0.2676 0.8519
O 0.5700 0.8435 0.5379
O 0.6389 0.3775 0.2392
O 0.6497 0.9376 0.9285
O 0.7522 0.4737 0.6659
O 0.7528 0.0349 0.3419
O 0.8420 0.5571 0.0602
O 0.8491 0.1175 0.7582
O 0.9347 0.6506 0.4672
O 0.9613 0.2343 0.1489

Calculated values
SG: P-1, No. 2

***

## KSrEuWO6 (PBE+U)

Data for KSrEuWO6 after structural relaxation.

Unit cell a=8.4383 b=8.4742 c=8.5108 alpha=90.00 beta=90.00 gamma=90.00
Fractional positions:
K 0.2500 0.2500 0.2500
K 0.2500 0.7500 0.7500
K 0.7500 0.2500 0.2500
K 0.7500 0.7500 0.7500
Sr 0.2500 0.2500 0.7500
Sr 0.2500 0.7500 0.2500
Sr 0.7500 0.2500 0.7500
Sr 0.7500 0.7500 0.2500
Eu 0.0000 0.0000 0.0000
Eu 0.0000 0.5000 0.5000
Eu 0.5000 0.0000 0.5000
Eu 0.5000 0.5000 0.0000
W 0.0000 0.0000 0.5000
W 0.0000 0.5000 0.0000
W 0.5000 0.0000 0.0000
W 0.5000 0.5000 0.5000
O 0.0217 0.0377 0.7298
O 0.0217 0.4623 0.7702
O 0.0266 0.7295 0.9823
O 0.0266 0.7705 0.5177
O 0.2281 0.0213 0.4762
O 0.2281 0.4787 0.0238
O 0.2719 0.0213 0.0238
O 0.2719 0.4787 0.4762
O 0.4734 0.7295 0.5177
O 0.4734 0.7705 0.9823
O 0.4783 0.0377 0.7702
O 0.4783 0.4623 0.7298
O 0.5217 0.5377 0.2702
O 0.5217 0.9623 0.2298
O 0.5266 0.2295 0.0177
O 0.5266 0.2705 0.4823
O 0.7281 0.5213 0.5238
O 0.7281 0.9787 0.9762
O 0.7719 0.5213 0.9762
O 0.7719 0.9787 0.5238
O 0.9734 0.2295 0.4823
O 0.9734 0.2705 0.0177
O 0.9783 0.5377 0.2298
O 0.9783 0.9623 0.2702

Calculated values
SG: Pnnn, No. 48

***

## Li2VO2F3 (PBE+U)

Data for Li2VO2F3 after structural relaxation.

Unit cell a=7.1666 b=5.3989 c=9.4610 alpha=90.00 beta=90.00 gamma=90.00
Fractional positions:
Li 0.0320 0.2500 0.2270
Li 0.1413 0.2500 0.9347
Li 0.3587 0.7500 0.4347
Li 0.4680 0.7500 0.7270
Li 0.5320 0.2500 0.2730
Li 0.6413 0.2500 0.5653
Li 0.8587 0.7500 0.0653
Li 0.9680 0.7500 0.7730
V 0.2147 0.2500 0.5570
V 0.2853 0.7500 0.0570
V 0.7147 0.2500 0.9430
V 0.7853 0.7500 0.4430
O 0.1442 0.5079 0.0861
O 0.1442 0.9921 0.0861
O 0.3558 0.0079 0.5861
O 0.3558 0.4921 0.5861
O 0.6442 0.5079 0.4139
O 0.6442 0.9921 0.4139
O 0.8558 0.0079 0.9139
O 0.8558 0.4921 0.9139
F 0.0000 0.0000 0.5000
F 0.0000 0.5000 0.5000
F 0.1071 0.2500 0.7373
F 0.2454 0.7500 0.8514
F 0.2546 0.2500 0.3514
F 0.3929 0.7500 0.2373
F 0.5000 0.0000 0.0000
F 0.5000 0.5000 0.0000
F 0.6071 0.2500 0.7627
F 0.7454 0.7500 0.6486
F 0.7546 0.2500 0.1486
F 0.8929 0.7500 0.2627

Calculated values
SG: Pnma, No. 62

***

## NaMn2Mo2H3O10 (PBE+U)

Data for NaMn2Mo2H3O10 after structural relaxation.

Unit cell a=5.8461 b=5.8464 c=7.8129 alpha=68.62 beta=68.62 gamma=69.33
Fractional positions:
Na 0.0000 0.0000 0.0000
Mn 0.0024 0.4967 0.4997
Mn 0.5028 0.9993 0.4998
Mo 0.4145 0.4128 0.7953
Mo 0.5873 0.5857 0.2047
H 0.0029 0.9949 0.5008
H 0.1787 0.1721 0.2800
H 0.8280 0.8214 0.7201
O 0.1455 0.1386 0.4197
O 0.2488 0.6845 0.2367
O 0.2573 0.2570 0.0263
O 0.3157 0.7512 0.7632
O 0.3282 0.3254 0.6265
O 0.6747 0.6719 0.3734
O 0.6872 0.2472 0.2364
O 0.7429 0.7427 0.9735
O 0.7530 0.3128 0.7635
O 0.8618 0.8548 0.5803

Calculated values
SG: P1, No. 1

***

## Rb2U2Cr3H12O22 (PBE+U)

Data for Rb2U2Cr3H12O22 after structural relaxation.

Unit cell a=10.9641 b=15.2053 c=14.3255 alpha=90.00 beta=107.84 gamma=90.00
Fractional positions:
Rb 0.1421 0.0266 0.3780
Rb 0.1421 0.4734 0.8780
Rb 0.3168 0.5399 0.6612
Rb 0.3168 0.9601 0.1612
Rb 0.6832 0.0399 0.8388
Rb 0.6832 0.4601 0.3388
Rb 0.8579 0.5266 0.1220
Rb 0.8579 0.9734 0.6220
U 0.0833 0.7078 0.0306
U 0.0833 0.7922 0.5306
U 0.3553 0.2313 0.3048
U 0.3553 0.2687 0.8048
U 0.6447 0.7313 0.1952
U 0.6447 0.7687 0.6952
U 0.9167 0.2078 0.4694
U 0.9167 0.2922 0.9694
Cr 0.0014 0.2234 0.7433
Cr 0.0014 0.2766 0.2433
Cr 0.2566 0.2196 0.0328
Cr 0.2566 0.2804 0.5328
Cr 0.3852 0.6574 0.9633
Cr 0.3852 0.8426 0.4633
Cr 0.6148 0.1574 0.5367
Cr 0.6148 0.3426 0.0367
Cr 0.7434 0.7196 0.4672
Cr 0.7434 0.7804 0.9672
Cr 0.9986 0.7234 0.7567
Cr 0.9986 0.7766 0.2567
H 0.0205 0.5195 0.3675
H 0.0205 0.9805 0.8675
H 0.0436 0.0820 0.0754
H 0.0436 0.4180 0.5754
H 0.1595 0.0585 0.7937
H 0.1595 0.4415 0.2937
H 0.1935 0.5710 0.2096
H 0.1935 0.9290 0.7096
H 0.2298 0.5193 0.3616
H 0.2298 0.9807 0.8616
H 0.2598 0.5482 0.1288
H 0.2598 0.9518 0.6288
H 0.3171 0.0980 0.6140
H 0.3171 0.4020 0.1140
H 0.3734 0.6201 0.4566
H 0.3734 0.8799 0.9566
H 0.3851 0.6537 0.2179
H 0.3851 0.8463 0.7179
H 0.4172 0.0340 0.5942
H 0.4172 0.4660 0.0942
H 0.4387 0.5339 0.4411
H 0.4387 0.9661 0.9411
H 0.4514 0.7069 0.3156
H 0.4514 0.7931 0.8156
H 0.5486 0.2069 0.1844
H 0.5486 0.2931 0.6844
H 0.5613 0.0339 0.0589
H 0.5613 0.4661 0.5589
H 0.5828 0.5340 0.9058
H 0.5828 0.9660 0.4058
H 0.6149 0.1537 0.2821
H 0.6149 0.3463 0.7821
H 0.6266 0.1201 0.0434
H 0.6266 0.3799 0.5434
H 0.6829 0.5980 0.8860
H 0.6829 0.9020 0.3860
H 0.7402 0.0482 0.3712
H 0.7402 0.4518 0.8712
H 0.7702 0.0193 0.1384
H 0.7702 0.4807 0.6384
H 0.8065 0.0710 0.2904
H 0.8065 0.4290 0.7904
H 0.8405 0.5585 0.7063
H 0.8405 0.9415 0.2063
H 0.9564 0.5820 0.4246
H 0.9564 0.9180 0.9246
H 0.9795 0.0195 0.1325
H 0.9795 0.4805 0.6325
O 0.0189 0.7031 0.1741
O 0.0189 0.7969 0.6741
O 0.0209 0.1142 0.5180
O 0.0209 0.3858 0.0180
O 0.0474 0.7349 0.3705
O 0.0474 0.7651 0.8705
O 0.0560 0.0264 0.1111
O 0.0560 0.4736 0.6111
O 0.0827 0.6366 0.7549
O 0.0827 0.8634 0.2549
O 0.0980 0.2012 0.0052
O 0.0980 0.2988 0.5052
O 0.1564 0.5056 0.3023
O 0.1564 0.9944 0.8023
O 0.1573 0.1926 0.7720
O 0.1573 0.3074 0.2720
O 0.1914 0.7019 0.5817
O 0.1914 0.7981 0.0817
O 0.2256 0.5990 0.1585
O 0.2256 0.9010 0.6585
O 0.2368 0.6446 0.9761
O 0.2368 0.8554 0.4761
O 0.2713 0.1285 0.2634
O 0.2713 0.3715 0.7634
O 0.2837 0.2193 0.4442
O 0.2837 0.2807 0.9442
O 0.3126 0.2248 0.6410
O 0.3126 0.2752 0.1410
O 0.3263 0.0380 0.5911
O 0.3263 0.4620 0.0911
O 0.3299 0.1269 0.0413
O 0.3299 0.3731 0.5413
O 0.3660 0.5558 0.4602
O 0.3660 0.9442 0.9602
O 0.3969 0.7465 0.4144
O 0.3969 0.7535 0.9144
O 0.4079 0.5781 0.8930
O 0.4079 0.9219 0.3930
O 0.4402 0.1660 0.8433
O 0.4402 0.3340 0.3433
O 0.4682 0.6777 0.2588
O 0.4682 0.8223 0.7588
O 0.4939 0.6504 0.0757
O 0.4939 0.8496 0.5757
O 0.5061 0.1504 0.4243
O 0.5061 0.3496 0.9243
O 0.5318 0.1777 0.2412
O 0.5318 0.3223 0.7412
O 0.5598 0.6660 0.6567
O 0.5598 0.8340 0.1567
O 0.5921 0.0781 0.6070
O 0.5921 0.4219 0.1070
O 0.6031 0.2465 0.0856
O 0.6031 0.2535 0.5856
O 0.6340 0.0558 0.0398
O 0.6340 0.4442 0.5398
O 0.6701 0.6269 0.4587
O 0.6701 0.8731 0.9587
O 0.6737 0.5380 0.9089
O 0.6737 0.9620 0.4089
O 0.6874 0.7248 0.8590
O 0.6874 0.7752 0.3590
O 0.7163 0.7193 0.0558
O 0.7163 0.7807 0.5558
O 0.7287 0.6285 0.2366
O 0.7287 0.8715 0.7366
O 0.7632 0.1446 0.5239
O 0.7632 0.3554 0.0239
O 0.7744 0.0990 0.3415
O 0.7744 0.4010 0.8415
O 0.8086 0.2019 0.9183
O 0.8086 0.2981 0.4183
O 0.8427 0.6926 0.7280
O 0.8427 0.8074 0.2280
O 0.8436 0.0056 0.1977
O 0.8436 0.4944 0.6977
O 0.9020 0.7012 0.4948
O 0.9020 0.7988 0.9948
O 0.9173 0.1366 0.7451
O 0.9173 0.3634 0.2451
O 0.9440 0.5264 0.3889
O 0.9440 0.9736 0.8889
O 0.9526 0.2349 0.1295
O 0.9526 0.2651 0.6295
O 0.9791 0.6142 0.9820
O 0.9791 0.8858 0.4820
O 0.9811 0.2031 0.3259
O 0.9811 0.2969 0.8259

Calculated values
SG: P2_1/c, No. 14

***

## Cr2HgO4 (PBE+U)

Data for Cr2HgO4 after structural relaxation.

Unit cell a=6.2588 b=6.2588 c=6.2588 alpha=60.00 beta=60.00 gamma=60.00
Fractional positions:
Cr 0.0000 0.0000 0.0000
Cr 0.0000 0.0000 0.5000
Cr 0.0000 0.5000 0.0000
Cr 0.5000 0.0000 0.0000
Hg 0.3750 0.3750 0.3750
Hg 0.6250 0.6250 0.6250
O 0.1876 0.7708 0.7708
O 0.2292 0.2292 0.2292
O 0.2292 0.2292 0.8124
O 0.2292 0.8124 0.2292
O 0.7708 0.1876 0.7708
O 0.7708 0.7708 0.1876
O 0.7708 0.7708 0.7708
O 0.8124 0.2292 0.2292

Calculated values
SG: Fd-3m, No. 227

***

## Li2TiMn3O8 (PBE+U)

Data for Li2TiMn3O8 after structural relaxation.

Unit cell a=6.0095 b=6.0095 c=9.5397 alpha=90.00 beta=90.00 gamma=122.22
Fractional positions:
Li 0.0065 0.9935 0.5000
Li 0.3440 0.6560 0.4034
Li 0.6560 0.3440 0.9034
Li 0.9935 0.0065 0.0000
Ti 0.3188 0.6812 0.9997
Ti 0.6812 0.3188 0.4997
Mn 0.1705 0.3382 0.7221
Mn 0.1728 0.8272 0.7205
Mn 0.3382 0.1705 0.2221
Mn 0.6618 0.8295 0.7221
Mn 0.8272 0.1728 0.2205
Mn 0.8295 0.6618 0.2221
O 0.0075 0.9925 0.8097
O 0.0293 0.5436 0.8501
O 0.1418 0.3491 0.0944
O 0.1552 0.8448 0.1054
O 0.3320 0.6680 0.6191
O 0.3491 0.1418 0.5944
O 0.4564 0.9707 0.8501
O 0.4715 0.5285 0.8486
O 0.5285 0.4715 0.3486
O 0.5436 0.0293 0.3501
O 0.6509 0.8582 0.0944
O 0.6680 0.3320 0.1191
O 0.8448 0.1552 0.6054
O 0.8582 0.6509 0.5944
O 0.9707 0.4564 0.3501
O 0.9925 0.0075 0.3097

Calculated values
SG: Cmc2_1, No. 36

***

## Ba3SrMo4O16 (PBE+U)

Data for Ba3SrMo4O16 after structural relaxation.

Unit cell a=5.6365 b=7.5582 c=10.9841 alpha=72.22 beta=75.13 gamma=68.11
Fractional positions:
Ba 0.0000 0.0000 0.0000
Ba 0.0014 0.4997 0.4972
Ba 0.7507 0.6248 0.8738
Sr 0.7506 0.1249 0.3736
Mo 0.2506 0.3719 0.1266
Mo 0.2506 0.8779 0.6207
Mo 0.4997 0.7507 0.2511
Mo 0.5018 0.2487 0.7461
O 0.0419 0.1086 0.5409
O 0.0527 0.6072 0.0473
O 0.0846 0.1968 0.1521
O 0.0986 0.6958 0.6450
O 0.1819 0.8129 0.3480
O 0.1890 0.3054 0.8470
O 0.2930 0.8765 0.7779
O 0.3082 0.3675 0.2820
O 0.4579 0.7522 0.0941
O 0.4645 0.2464 0.5878
O 0.5604 0.3176 0.0237
O 0.5662 0.8284 0.5202
O 0.6575 0.4274 0.7260
O 0.6581 0.9282 0.2317
O 0.6966 0.5105 0.3274
O 0.7003 0.0157 0.8269

Calculated values
SG: P1, No. 1

***

no.,ΔE_f (eV/atom),volume (Å³/f.u.)
1,-1.84,77.7
2,-2.45,191.0
3,-2.72,152.1
4,-2.74,91.5
5,-1.90,224.0
6,-1.93,568.4
7,-1.89,86.7
8,-2.38,145.7
9,-2.65,408.0